Computed, not measured: a geometry-optimized Li2Mn3FeO8 structure at the PBE with a Hubbard U level of DFT.

Unit cell a=5.903 b=5.903 c=9.451 alpha=90.00 beta=90.00 gamma=120.00
Element x y z (fractional)
O1 0.000 0.000 0.308
O2 0.000 0.000 0.808
O3 0.040 0.520 0.337
O4 0.676 0.838 0.603
O5 0.667 0.333 0.601
O6 0.480 0.960 0.337
O7 0.333 0.667 0.101
O8 0.838 0.676 0.103
O9 0.838 0.162 0.103
O10 0.162 0.838 0.603
O11 0.480 0.520 0.337
O12 0.520 0.480 0.837
O13 0.162 0.324 0.603
O14 0.324 0.162 0.103
O15 0.960 0.480 0.837
O16 0.520 0.040 0.837
Mn1 0.829 0.658 0.715
Mn2 0.829 0.171 0.715
Mn3 0.658 0.829 0.215
Mn4 0.342 0.171 0.715
Mn5 0.171 0.342 0.215
Mn6 0.171 0.829 0.215
Li1 0.333 0.667 0.891
Li2 0.000 0.000 0.998
Li3 0.667 0.333 0.391
Li4 0.000 0.000 0.498
Fe1 0.333 0.667 0.494
Fe2 0.667 0.333 0.994

Summary:
DFT formation energy = -1963 meV/atom
energy relative to the lowest polymorph listed for this composition = 0.041 eV/atom
crystal system = hexagonal